(1)
CaMg6Mn after structural relaxation. Source: Materials Project, functional PBE.

Computed properties:
Its formation energy is 0.131 eV per atom.

Cell lengths 5.116, 6.535, 11.338 Å; angles 90.00, 90.00, 90.00 degrees
Fractional coordinates of all 16 atoms:
1 Ca 0.000 0.500 0.329
2 Mg 0.500 0.259 0.923
3 Mg 0.500 0.759 0.423
4 Mg 0.000 0.762 0.583
5 Mn 0.500 0.500 0.156
6 Mg 0.000 0.738 0.083
7 Mg 0.000 0.500 0.836
8 Mg 0.000 0.000 0.336
9 Ca 0.000 0.000 0.829
10 Mg 0.000 0.262 0.083
11 Mn 0.500 0.000 0.656
12 Mg 0.000 0.238 0.583
13 Mg 0.500 0.241 0.423
14 Mg 0.500 0.000 0.166
15 Mg 0.500 0.500 0.666
16 Mg 0.500 0.741 0.923

=====

(2)
NaNpH2SeO7 after structural relaxation. Source: Materials Project, functional PBE.

Computed properties:
Its formation energy is -2.029 eV per atom.

Cell lengths 9.876, 9.876, 24.557 Å; angles 102.60, 102.60, 34.44 degrees
Fractional coordinates of all 96 atoms:
1 Na 0.000 0.000 0.000
2 Na 0.000 0.000 0.500
3 Na 0.046 0.524 0.076
4 Na 0.135 0.865 0.750
5 Na 0.476 0.954 0.424
6 Na 0.524 0.046 0.576
7 Na 0.865 0.135 0.250
8 Na 0.954 0.476 0.924
9 Np 0.177 0.220 0.692
10 Np 0.220 0.177 0.192
11 Np 0.447 0.470 0.861
12 Np 0.470 0.447 0.361
13 Np 0.530 0.553 0.639
14 Np 0.553 0.530 0.139
15 Np 0.780 0.823 0.808
16 Np 0.823 0.780 0.308
17 H 0.011 0.291 0.449
18 H 0.022 0.339 0.566
19 H 0.029 0.736 0.614
20 H 0.047 0.481 0.594
21 H 0.264 0.971 0.886
22 H 0.291 0.011 0.949
23 H 0.339 0.022 0.066
24 H 0.481 0.047 0.094
25 H 0.519 0.953 0.906
26 H 0.661 0.978 0.934
27 H 0.709 0.989 0.051
28 H 0.736 0.029 0.114
29 H 0.953 0.519 0.406
30 H 0.971 0.264 0.386
31 H 0.978 0.661 0.434
32 H 0.989 0.709 0.551
33 Se 0.216 0.574 0.215
34 Se 0.366 0.428 0.999
35 Se 0.426 0.784 0.285
36 Se 0.428 0.366 0.499
37 Se 0.572 0.634 0.501
38 Se 0.574 0.216 0.715
39 Se 0.634 0.572 0.001
40 Se 0.784 0.426 0.785
41 O 0.038 0.187 0.751
42 O 0.038 0.471 0.273
43 O 0.051 0.276 0.413
44 O 0.089 0.614 0.841
45 O 0.115 0.332 0.595
46 O 0.140 0.652 0.495
47 O 0.153 0.646 0.363
48 O 0.187 0.038 0.251
49 O 0.194 0.429 0.990
50 O 0.196 0.435 0.171
51 O 0.224 0.743 0.645
52 O 0.227 0.690 0.180
53 O 0.257 0.776 0.855
54 O 0.276 0.051 0.913
55 O 0.286 0.589 0.952
56 O 0.310 0.572 0.062
57 O 0.310 0.773 0.320
58 O 0.332 0.115 0.095
59 O 0.348 0.860 0.005
60 O 0.354 0.847 0.137
61 O 0.377 0.458 0.760
62 O 0.386 0.911 0.659
63 O 0.411 0.714 0.548
64 O 0.428 0.690 0.438
65 O 0.429 0.194 0.490
66 O 0.435 0.196 0.671
67 O 0.458 0.377 0.260
68 O 0.471 0.038 0.773
69 O 0.529 0.962 0.227
70 O 0.542 0.623 0.740
71 O 0.565 0.804 0.329
72 O 0.571 0.806 0.510
73 O 0.572 0.310 0.562
74 O 0.589 0.286 0.452
75 O 0.614 0.089 0.341
76 O 0.623 0.542 0.240
77 O 0.646 0.153 0.863
78 O 0.652 0.140 0.995
79 O 0.668 0.885 0.905
80 O 0.690 0.227 0.680
81 O 0.690 0.428 0.938
82 O 0.714 0.411 0.048
83 O 0.724 0.949 0.087
84 O 0.743 0.224 0.145
85 O 0.773 0.310 0.820
86 O 0.776 0.257 0.355
87 O 0.804 0.565 0.829
88 O 0.806 0.571 0.010
89 O 0.813 0.962 0.749
90 O 0.847 0.354 0.637
91 O 0.860 0.348 0.505
92 O 0.885 0.668 0.405
93 O 0.911 0.386 0.159
94 O 0.949 0.724 0.587
95 O 0.962 0.529 0.727
96 O 0.962 0.813 0.249

=====

(3)
TaNi2Te2 after structural relaxation. Source: Materials Project, functional PBE.

Computed properties:
Its formation energy is -0.538 eV per atom.

Cell lengths 6.471, 3.576, 18.024 Å; angles 90.00, 90.00, 90.00 degrees
Fractional coordinates of all 20 atoms:
1 Ta 0.094 0.250 0.225
2 Ta 0.406 0.750 0.725
3 Ta 0.594 0.250 0.275
4 Ta 0.906 0.750 0.775
5 Ni 0.102 0.250 0.687
6 Ni 0.211 0.250 0.814
7 Ni 0.289 0.750 0.314
8 Ni 0.398 0.750 0.187
9 Ni 0.602 0.250 0.813
10 Ni 0.711 0.250 0.686
11 Ni 0.789 0.750 0.186
12 Ni 0.898 0.750 0.313
13 Te 0.092 0.250 0.388
14 Te 0.094 0.750 0.098
15 Te 0.406 0.250 0.598
16 Te 0.408 0.750 0.888
17 Te 0.592 0.250 0.112
18 Te 0.594 0.750 0.402
19 Te 0.906 0.250 0.902
20 Te 0.908 0.750 0.612

=====

(4)
Si2Ni7P5 after structural relaxation. Source: Materials Project, functional PBE.

Computed properties:
Its formation energy is -0.418 eV per atom.

Cell lengths 23.937, 5.923, 4.914 Å; angles 90.00, 90.00, 90.00 degrees
Fractional coordinates of all 56 atoms:
1 Si 0.217 0.159 0.219
2 Si 0.217 0.841 0.719
3 Si 0.283 0.341 0.719
4 Si 0.283 0.659 0.219
5 Si 0.717 0.341 0.781
6 Si 0.717 0.659 0.281
7 Si 0.783 0.159 0.281
8 Si 0.783 0.841 0.781
9 Ni 0.000 0.000 0.000
10 Ni 0.000 0.000 0.500
11 Ni 0.074 0.458 0.501
12 Ni 0.074 0.542 0.001
13 Ni 0.140 0.051 0.494
14 Ni 0.140 0.949 0.994
15 Ni 0.206 0.466 0.501
16 Ni 0.206 0.534 0.001
17 Ni 0.294 0.034 0.001
18 Ni 0.294 0.966 0.501
19 Ni 0.360 0.449 0.994
20 Ni 0.360 0.551 0.494
21 Ni 0.426 0.042 0.001
22 Ni 0.426 0.958 0.501
23 Ni 0.500 0.500 0.000
24 Ni 0.500 0.500 0.500
25 Ni 0.574 0.042 0.499
26 Ni 0.574 0.958 0.999
27 Ni 0.640 0.449 0.506
28 Ni 0.640 0.551 0.006
29 Ni 0.706 0.034 0.499
30 Ni 0.706 0.966 0.999
31 Ni 0.794 0.466 0.999
32 Ni 0.794 0.534 0.499
33 Ni 0.860 0.051 0.006
34 Ni 0.860 0.949 0.506
35 Ni 0.926 0.458 0.999
36 Ni 0.926 0.542 0.499
37 P 0.000 0.331 0.750
38 P 0.000 0.669 0.250
39 P 0.072 0.177 0.192
40 P 0.072 0.823 0.692
41 P 0.142 0.315 0.812
42 P 0.142 0.685 0.312
43 P 0.358 0.185 0.312
44 P 0.358 0.815 0.812
45 P 0.428 0.323 0.692
46 P 0.428 0.677 0.192
47 P 0.500 0.169 0.250
48 P 0.500 0.831 0.750
49 P 0.572 0.323 0.808
50 P 0.572 0.677 0.308
51 P 0.642 0.185 0.188
52 P 0.642 0.815 0.688
53 P 0.858 0.315 0.688
54 P 0.858 0.685 0.188
55 P 0.928 0.177 0.308
56 P 0.928 0.823 0.808

=====

(5)
LaMg6Si after structural relaxation. Source: Materials Project, functional PBE.

Computed properties:
Its formation energy is -0.019 eV per atom.

Cell lengths 4.708, 6.281, 13.006 Å; angles 90.00, 90.00, 90.00 degrees
Fractional coordinates of all 16 atoms:
1 Mg 0.000 0.000 0.353
2 Mg 0.500 0.249 0.940
3 Mg 0.500 0.500 0.699
4 La 0.000 0.000 0.795
5 Mg 0.000 0.256 0.572
6 Mg 0.500 0.751 0.940
7 Si 0.500 0.500 0.130
8 Mg 0.500 0.749 0.440
9 Mg 0.000 0.500 0.853
10 Mg 0.000 0.244 0.072
11 La 0.000 0.500 0.295
12 Mg 0.500 0.251 0.440
13 Si 0.500 0.000 0.630
14 Mg 0.500 0.000 0.199
15 Mg 0.000 0.744 0.572
16 Mg 0.000 0.756 0.072

=====

(6)
Sc3OsC4 after structural relaxation. Source: Materials Project, functional PBE.

Computed properties:
Its formation energy is -0.434 eV per atom.

Cell lengths 3.342, 4.499, 12.414 Å; angles 90.00, 90.00, 90.00 degrees
Fractional coordinates of all 16 atoms:
1 Sc 0.000 0.000 0.000
2 Sc 0.000 0.500 0.191
3 Sc 0.000 0.500 0.809
4 Sc 0.500 0.000 0.309
5 Sc 0.500 0.000 0.691
6 Sc 0.500 0.500 0.500
7 Os 0.000 0.000 0.500
8 Os 0.500 0.500 0.000
9 C 0.000 0.339 0.372
10 C 0.000 0.339 0.628
11 C 0.000 0.661 0.372
12 C 0.000 0.661 0.628
13 C 0.500 0.161 0.128
14 C 0.500 0.161 0.872
15 C 0.500 0.839 0.128
16 C 0.500 0.839 0.872

=====

(7)
Mg2GeSe4 after structural relaxation. Source: Materials Project, functional PBE.

Computed properties:
Its formation energy is -1.104 eV per atom.

Cell lengths 13.643, 7.947, 6.396 Å; angles 90.00, 90.00, 90.00 degrees
Fractional coordinates of all 28 atoms:
1 Mg 0.000 0.000 0.000
2 Mg 0.000 0.500 0.000
3 Mg 0.231 0.250 0.496
4 Mg 0.269 0.750 0.996
5 Mg 0.500 0.000 0.500
6 Mg 0.500 0.500 0.500
7 Mg 0.731 0.250 0.004
8 Mg 0.769 0.750 0.504
9 Ge 0.089 0.750 0.410
10 Ge 0.411 0.250 0.910
11 Ge 0.589 0.750 0.090
12 Ge 0.911 0.250 0.590
13 Se 0.071 0.250 0.749
14 Se 0.093 0.750 0.781
15 Se 0.168 0.516 0.244
16 Se 0.168 0.984 0.244
17 Se 0.332 0.016 0.744
18 Se 0.332 0.484 0.744
19 Se 0.407 0.250 0.281
20 Se 0.429 0.750 0.249
21 Se 0.571 0.250 0.751
22 Se 0.593 0.750 0.719
23 Se 0.668 0.516 0.256
24 Se 0.668 0.984 0.256
25 Se 0.832 0.016 0.756
26 Se 0.832 0.484 0.756
27 Se 0.907 0.250 0.219
28 Se 0.929 0.750 0.251

=====

(8)
Pm2AgRu after structural relaxation. Source: Materials Project, functional PBE.

Computed properties:
Its formation energy is -0.239 eV per atom.

Cell lengths 7.211, 7.211, 7.211 Å; angles 90.00, 90.00, 90.00 degrees
Fractional coordinates of all 16 atoms:
1 Pm 0.250 0.250 0.250
2 Pm 0.250 0.250 0.750
3 Pm 0.250 0.750 0.250
4 Pm 0.250 0.750 0.750
5 Pm 0.750 0.250 0.250
6 Pm 0.750 0.250 0.750
7 Pm 0.750 0.750 0.250
8 Pm 0.750 0.750 0.750
9 Ag 0.000 0.000 0.000
10 Ag 0.000 0.500 0.500
11 Ag 0.500 0.000 0.500
12 Ag 0.500 0.500 0.000
13 Ru 0.000 0.000 0.500
14 Ru 0.000 0.500 0.000
15 Ru 0.500 0.000 0.000
16 Ru 0.500 0.500 0.500

=====

(9)
NiGe after structural relaxation. Source: Materials Project, functional PBE.

Computed properties:
Its formation energy is -0.305 eV per atom.

Cell lengths 5.371, 3.497, 5.816 Å; angles 90.00, 90.00, 90.00 degrees
Fractional coordinates of all 8 atoms:
1 Ni 0.006 0.250 0.190
2 Ni 0.494 0.750 0.690
3 Ni 0.506 0.250 0.310
4 Ni 0.994 0.750 0.810
5 Ge 0.189 0.250 0.589
6 Ge 0.311 0.750 0.089
7 Ge 0.689 0.250 0.911
8 Ge 0.811 0.750 0.411

=====

(10)
MgZr2H12O4F12 after structural relaxation. Source: Materials Project, functional PBE.

Computed properties:
Its formation energy is -2.232 eV per atom.

Cell lengths 6.896, 6.949, 7.568 Å; angles 105.73, 115.94, 98.18 degrees
Fractional coordinates of all 31 atoms:
1 Mg 0.000 0.000 0.000
2 Zr 0.240 0.491 0.879
3 Zr 0.344 0.980 0.783
4 H 0.038 0.272 0.416
5 H 0.064 0.800 0.256
6 H 0.092 0.387 0.218
7 H 0.462 0.094 0.460
8 H 0.485 0.614 0.365
9 H 0.585 0.193 0.331
10 H 0.624 0.767 0.615
11 H 0.684 0.319 0.595
12 H 0.741 0.739 0.128
13 H 0.786 0.720 0.505
14 H 0.834 0.246 0.167
15 H 0.911 0.631 0.006
16 O 0.004 0.259 0.222
17 O 0.549 0.223 0.451
18 O 0.634 0.657 0.504
19 O 0.925 0.767 0.115
20 F 0.014 0.261 0.541
21 F 0.143 0.167 0.895
22 F 0.204 0.838 0.964
23 F 0.250 0.542 0.186
24 F 0.318 0.935 0.469
25 F 0.338 0.645 0.705
26 F 0.449 0.307 0.811
27 F 0.588 0.716 0.135
28 F 0.601 0.173 0.130
29 F 0.688 0.965 0.813
30 F 0.892 0.456 0.822
31 F 0.994 0.806 0.547

=====

(11)
ErMg16Al12 after structural relaxation. Source: Materials Project, functional PBE.

Computed properties:
Its formation energy is -0.063 eV per atom.

Cell lengths 9.241, 9.241, 9.241 Å; angles 110.33, 110.33, 110.33 degrees
Fractional coordinates of all 29 atoms:
1 Er 0.000 0.000 0.000
2 Mg 0.022 0.317 0.630
3 Mg 0.022 0.630 0.317
4 Mg 0.238 0.238 0.908
5 Mg 0.238 0.908 0.238
6 Mg 0.283 0.624 0.624
7 Mg 0.317 0.022 0.630
8 Mg 0.317 0.630 0.022
9 Mg 0.345 0.943 0.943
10 Mg 0.624 0.283 0.624
11 Mg 0.624 0.624 0.283
12 Mg 0.626 0.626 0.626
13 Mg 0.630 0.022 0.317
14 Mg 0.630 0.317 0.022
15 Mg 0.908 0.238 0.238
16 Mg 0.943 0.345 0.943
17 Mg 0.943 0.943 0.345
18 Al 0.256 0.256 0.438
19 Al 0.256 0.438 0.256
20 Al 0.438 0.256 0.256
21 Al 0.439 0.439 0.802
22 Al 0.439 0.802 0.439
23 Al 0.631 0.814 0.993
24 Al 0.631 0.993 0.814
25 Al 0.802 0.439 0.439
26 Al 0.814 0.631 0.993
27 Al 0.814 0.993 0.631
28 Al 0.993 0.631 0.814
29 Al 0.993 0.814 0.631

=====

(12)
Pr2MgCuO4 after structural relaxation. Source: Materials Project, functional PBE.

Computed properties:
Its formation energy is -2.181 eV per atom.

Cell lengths 3.812, 3.812, 18.921 Å; angles 90.00, 90.00, 90.00 degrees
Fractional coordinates of all 16 atoms:
1 Pr 0.000 0.000 0.188
2 Pr 0.000 0.000 0.812
3 Pr 0.500 0.500 0.312
4 Pr 0.500 0.500 0.688
5 Mg 0.000 0.000 0.000
6 Mg 0.500 0.500 0.500
7 Cu 0.000 0.000 0.500
8 Cu 0.500 0.500 0.000
9 O 0.000 0.000 0.310
10 O 0.000 0.000 0.690
11 O 0.000 0.500 0.000
12 O 0.000 0.500 0.500
13 O 0.500 0.000 0.000
14 O 0.500 0.000 0.500
15 O 0.500 0.500 0.190
16 O 0.500 0.500 0.810